Density functional theory data (PBE+U) for an optimized crystal structure of La5FeRe3O16.

abc: 5.7060 11.4428 11.4013
angles: 63.77 90.27 93.60
Fractional positions:
1 La 0.9999 0.5001 0.2499
2 La 0.0000 0.5000 0.7500
3 La 0.0238 0.1968 0.1581
4 La 0.0243 0.1974 0.6576
5 La 0.9756 0.8025 0.8422
6 La 0.9761 0.8032 0.3422
7 La 0.5031 0.2075 0.9121
8 La 0.5032 0.2073 0.4132
9 La 0.4966 0.7928 0.0868
10 La 0.4970 0.7924 0.5879
11 Fe 0.5000 0.0000 0.2500
12 Fe 0.4998 0.9999 0.7499
13 Re 0.9996 0.9999 0.4998
14 Re 0.0003 0.0001 0.0001
15 Re 0.4448 0.6048 0.9201
16 Re 0.4442 0.6057 0.4194
17 Re 0.5557 0.3943 0.0805
18 Re 0.5553 0.3953 0.5799
19 O 0.3062 0.4343 0.9378
20 O 0.3061 0.4358 0.4370
21 O 0.6939 0.5643 0.0630
22 O 0.6939 0.5657 0.5623
23 O 0.2212 0.6745 0.7754
24 O 0.2204 0.6748 0.2750
25 O 0.7794 0.3252 0.2250
26 O 0.7790 0.3256 0.7246
27 O 0.5499 0.7987 0.8747
28 O 0.5468 0.8028 0.3718
29 O 0.4531 0.1973 0.1281
30 O 0.4501 0.2013 0.6253
31 O 0.9214 0.8163 0.0526
32 O 0.9200 0.8160 0.5527
33 O 0.0800 0.1839 0.9474
34 O 0.0785 0.1838 0.4475
35 O 0.2310 0.6350 0.0341
36 O 0.2322 0.6360 0.5338
37 O 0.7681 0.3639 0.9663
38 O 0.7687 0.3651 0.4659
39 O 0.6972 0.6343 0.7950
40 O 0.6970 0.6356 0.2950
41 O 0.3030 0.3645 0.2051
42 O 0.3029 0.3657 0.7049
43 O 0.8105 0.9961 0.6548
44 O 0.8184 0.9968 0.1537
45 O 0.1818 0.0032 0.3463
46 O 0.1894 0.0039 0.8452
47 O 0.7135 0.0391 0.3941
48 O 0.7173 0.0395 0.8920
49 O 0.2828 0.9604 0.6078
50 O 0.2867 0.9610 0.1057

Results
**Energy relative to the elements**: -2.9536 eV per atom
**Total magnetization**: 2.3 μB/cell